# GGA+U DyWO4, relaxed
data_DyWO4
_space_group_name_H-M_alt 'P 1 2/c 1'
_space_group_IT_number 13
_space_group_name_Hall '-P 2yc'
_cell_length_a 5.204
_cell_length_b 5.558
_cell_length_c 5.329
_cell_angle_alpha 90.00
_cell_angle_beta 97.07
_cell_angle_gamma 90.00
loop_
_atom_site_label
_atom_site_type_symbol
_atom_site_fract_x
_atom_site_fract_y
_atom_site_fract_z
_atom_site_occupancy
Dy1 Dy 0.000 0.230 0.250 1
W1 W 0.500 0.312 0.750 1
O1 O 0.241 0.090 0.608 1
O2 O 0.269 0.432 0.998 1
# **ΔH_f (0 K)**: -2.98 eV/atom


# GGA+U Ca8Mn8O21, relaxed
data_Ca8Mn8O21
_space_group_name_H-M_alt 'P 1'
_space_group_IT_number 1
_space_group_name_Hall 'P 1'
_cell_length_a 10.943
_cell_length_b 10.959
_cell_length_c 15.428
_cell_angle_alpha 89.56
_cell_angle_beta 90.00
_cell_angle_gamma 88.32
loop_
_atom_site_label
_atom_site_type_symbol
_atom_site_fract_x
_atom_site_fract_y
_atom_site_fract_z
_atom_site_occupancy
Ca1 Ca 0.000 0.000 0.000 1
Ca2 Ca 0.000 0.011 0.489 1
Ca3 Ca 0.007 0.469 0.483 1
Ca4 Ca 0.035 0.053 0.741 1
Ca5 Ca 0.239 0.740 0.977 1
Ca6 Ca 0.246 0.747 0.243 1
Ca7 Ca 0.253 0.269 0.998 1
Ca8 Ca 0.253 0.291 0.248 1
Ca9 Ca 0.254 0.291 0.745 1
Ca10 Ca 0.255 0.260 0.488 1
Ca11 Ca 0.256 0.744 0.476 1
Ca12 Ca 0.269 0.735 0.749 1
Ca13 Ca 0.502 0.473 0.482 1
Ca14 Ca 0.502 0.508 0.758 1
Ca15 Ca 0.507 0.467 0.986 1
Ca16 Ca 0.515 0.528 0.247 1
Ca17 Ca 0.524 0.051 0.738 1
Ca18 Ca 0.525 0.018 0.481 1
Ca19 Ca 0.526 0.025 0.007 1
Ca20 Ca 0.534 0.041 0.245 1
Ca21 Ca 0.733 0.745 0.470 1
Ca22 Ca 0.750 0.282 0.245 1
Ca23 Ca 0.755 0.245 0.485 1
Ca24 Ca 0.756 0.291 0.744 1
Ca25 Ca 0.758 0.247 0.000 1
Ca26 Ca 0.764 0.732 0.753 1
Ca27 Ca 0.768 0.774 0.239 1
Ca28 Ca 0.772 0.729 0.994 1
Ca29 Ca 0.995 0.476 0.994 1
Ca30 Ca 0.997 0.038 0.240 1
Ca31 Ca 0.997 0.506 0.757 1
Ca32 Ca 0.997 0.517 0.246 1
Mn1 Mn 0.003 0.261 0.122 1
Mn2 Mn 0.004 0.254 0.366 1
Mn3 Mn 0.005 0.266 0.619 1
Mn4 Mn 0.010 0.757 0.116 1
Mn5 Mn 0.013 0.254 0.869 1
Mn6 Mn 0.056 0.776 0.624 1
Mn7 Mn 0.244 0.506 0.117 1
Mn8 Mn 0.246 0.028 0.118 1
Mn9 Mn 0.250 0.503 0.614 1
Mn10 Mn 0.253 0.502 0.872 1
Mn11 Mn 0.257 0.511 0.367 1
Mn12 Mn 0.259 0.021 0.615 1
Mn13 Mn 0.264 0.015 0.378 1
Mn14 Mn 0.278 0.015 0.883 1
Mn15 Mn 0.494 0.752 0.871 1
Mn16 Mn 0.498 0.763 0.360 1
Mn17 Mn 0.504 0.263 0.619 1
Mn18 Mn 0.507 0.260 0.365 1
Mn19 Mn 0.507 0.263 0.122 1
Mn20 Mn 0.512 0.250 0.867 1
Mn21 Mn 0.530 0.770 0.112 1
Mn22 Mn 0.551 0.777 0.629 1
Mn23 Mn 0.743 0.503 0.612 1
Mn24 Mn 0.753 0.501 0.874 1
Mn25 Mn 0.753 0.506 0.369 1
Mn26 Mn 0.758 0.506 0.118 1
Mn27 Mn 0.759 0.004 0.367 1
Mn28 Mn 0.759 0.024 0.620 1
Mn29 Mn 0.762 0.011 0.120 1
Mn30 Mn 0.776 0.016 0.873 1
Mn31 Mn 0.994 0.748 0.864 1
Mn32 Mn 0.997 0.747 0.373 1
O1 O 0.033 0.789 0.984 1
O2 O 0.034 0.792 0.496 1
O3 O 0.041 0.251 0.492 1
O4 O 0.044 0.253 0.995 1
O5 O 0.088 0.420 0.631 1
O6 O 0.101 0.403 0.139 1
O7 O 0.116 0.396 0.851 1
O8 O 0.118 0.400 0.350 1
O9 O 0.143 0.132 0.343 1
O10 O 0.145 0.656 0.853 1
O11 O 0.147 0.915 0.169 1
O12 O 0.152 0.659 0.360 1
O13 O 0.156 0.167 0.641 1
O14 O 0.156 0.168 0.146 1
O15 O 0.163 0.907 0.683 1
O16 O 0.170 0.142 0.844 1
O17 O 0.173 0.669 0.117 1
O18 O 0.212 0.503 0.994 1
O19 O 0.215 0.673 0.615 1
O20 O 0.217 0.980 0.493 1
O21 O 0.218 0.981 0.996 1
O22 O 0.222 0.506 0.490 1
O23 O 0.291 0.508 0.740 1
O24 O 0.292 0.516 0.240 1
O25 O 0.342 0.864 0.356 1
O26 O 0.343 0.857 0.861 1
O27 O 0.352 0.356 0.597 1
O28 O 0.363 0.367 0.384 1
O29 O 0.365 0.356 0.887 1
O30 O 0.367 0.375 0.097 1
O31 O 0.389 0.605 0.893 1
O32 O 0.401 0.105 0.112 1
O33 O 0.401 0.120 0.379 1
O34 O 0.401 0.620 0.390 1
O35 O 0.421 0.092 0.607 1
O36 O 0.431 0.094 0.876 1
O37 O 0.454 0.740 0.216 1
O38 O 0.467 0.257 0.742 1
O39 O 0.468 0.254 0.243 1
O40 O 0.484 0.732 0.738 1
O41 O 0.509 0.803 0.992 1
O42 O 0.516 0.802 0.512 1
O43 O 0.540 0.257 0.492 1
O44 O 0.542 0.250 0.994 1
O45 O 0.583 0.419 0.632 1
O46 O 0.605 0.407 0.136 1
O47 O 0.606 0.904 0.353 1
O48 O 0.610 0.402 0.350 1
O49 O 0.612 0.918 0.135 1
O50 O 0.613 0.395 0.854 1
O51 O 0.644 0.660 0.865 1
O52 O 0.647 0.657 0.344 1
O53 O 0.651 0.151 0.352 1
O54 O 0.654 0.158 0.139 1
O55 O 0.658 0.169 0.642 1
O56 O 0.658 0.655 0.129 1
O57 O 0.659 0.911 0.679 1
O58 O 0.665 0.141 0.836 1
O59 O 0.698 0.675 0.616 1
O60 O 0.708 0.519 0.489 1
O61 O 0.716 0.506 0.996 1
O62 O 0.734 0.024 0.994 1
O63 O 0.738 0.996 0.497 1
O64 O 0.781 0.508 0.739 1
O65 O 0.788 0.995 0.243 1
O66 O 0.789 0.499 0.244 1
O67 O 0.845 0.856 0.866 1
O68 O 0.851 0.362 0.593 1
O69 O 0.860 0.359 0.098 1
O70 O 0.861 0.858 0.378 1
O71 O 0.862 0.363 0.388 1
O72 O 0.864 0.355 0.888 1
O73 O 0.865 0.863 0.101 1
O74 O 0.890 0.603 0.887 1
O75 O 0.891 0.606 0.395 1
O76 O 0.896 0.108 0.382 1
O77 O 0.899 0.607 0.096 1
O78 O 0.907 0.110 0.106 1
O79 O 0.916 0.091 0.615 1
O80 O 0.930 0.097 0.872 1
O81 O 0.963 0.254 0.244 1
O82 O 0.971 0.263 0.743 1
O83 O 0.973 0.730 0.735 1
O84 O 0.985 0.739 0.244 1
# **ΔH_f (0 K)**: -2.52 eV/atom


# GGA+U Sr2PrNiO6, relaxed
data_Sr2PrNiO6
_space_group_name_H-M_alt 'F m -3 m'
_space_group_IT_number 225
_space_group_name_Hall '-F 4 2 3'
_cell_length_a 8.293
_cell_length_b 8.293
_cell_length_c 8.293
_cell_angle_alpha 90.00
_cell_angle_beta 90.00
_cell_angle_gamma 90.00
loop_
_atom_site_label
_atom_site_type_symbol
_atom_site_fract_x
_atom_site_fract_y
_atom_site_fract_z
_atom_site_occupancy
Sr1 Sr 0.250 0.250 0.250 1
Pr1 Pr 0.000 0.000 0.000 1
Ni1 Ni 0.000 0.000 0.500 1
O1 O 0.000 0.000 0.276 1
# **ΔH_f (0 K)**: -2.32 eV/atom


# GGA+U Co2RuO4, relaxed
data_Co2RuO4
_space_group_name_H-M_alt 'P 1'
_space_group_IT_number 1
_space_group_name_Hall 'P 1'
_cell_length_a 6.110
_cell_length_b 6.110
_cell_length_c 10.074
_cell_angle_alpha 75.17
_cell_angle_beta 75.24
_cell_angle_gamma 60.35
loop_
_atom_site_label
_atom_site_type_symbol
_atom_site_fract_x
_atom_site_fract_y
_atom_site_fract_z
_atom_site_occupancy
Co1 Co 0.000 0.000 0.000 1
Co2 Co 0.001 0.497 0.998 1
Co3 Co 0.036 0.095 0.309 1
Co4 Co 0.402 0.460 0.191 1
Co5 Co 0.497 0.502 0.500 1
Co6 Co 0.589 0.543 0.809 1
Co7 Co 0.955 0.908 0.692 1
Co8 Co 0.999 0.499 0.501 1
Ru1 Ru 0.277 0.223 0.748 1
Ru2 Ru 0.499 0.001 0.500 1
Ru3 Ru 0.500 0.997 0.002 1
Ru4 Ru 0.716 0.781 0.249 1
O1 O 0.062 0.661 0.130 1
O2 O 0.145 0.115 0.622 1
O3 O 0.145 0.132 0.107 1
O4 O 0.160 0.573 0.628 1
O5 O 0.363 0.352 0.393 1
O6 O 0.368 0.876 0.378 1
O7 O 0.374 0.873 0.878 1
O8 O 0.385 0.350 0.878 1
O9 O 0.615 0.642 0.121 1
O10 O 0.623 0.130 0.122 1
O11 O 0.628 0.128 0.619 1
O12 O 0.633 0.650 0.607 1
O13 O 0.836 0.434 0.371 1
O14 O 0.850 0.884 0.379 1
O15 O 0.853 0.866 0.894 1
O16 O 0.929 0.338 0.869 1
# **ΔH_f (0 K)**: -0.97 eV/atom